Here is Li9Mn2Co5O16 after structural relaxation from the Materials Project database. Energies are from PBE+U.

energy relative to the lowest polymorph listed for this composition = 68 meV/atom
formation energy = -1796.4 meV/atom
theoretical density = 4.143 g/cm3

Cell: 21.1471 2.9147 9.8632 Å, 90.00 107.56 90.00°
Space group C2/m (No. 12)
Inequivalent atoms, fractional coordinates:
Li  0.0000  0.0000  0.0000
Li  0.0578  0.5000  0.8247
Li  0.0639  0.0000  0.3030
Li  0.1864  0.0000  0.9464
Li  0.1875  0.5000  0.4343
Mn  0.1260  0.0000  0.6268
Co  0.0000  0.5000  0.5000
Co  0.1142  0.5000  0.1210
Co  0.2446  0.0000  0.2427
O  0.0368  0.0000  0.6431
O  0.0368  0.5000  0.1620
O  0.0966  0.0000  0.9797
O  0.1002  0.5000  0.4892
O  0.1532  0.5000  0.7635
O  0.1576  0.0000  0.2736
O  0.2162  0.0000  0.6082
O  0.2204  0.5000  0.1050